## Sm2BiO2 (r2SCAN)

Data for an optimized crystal structure of Sm2BiO2.

```
Sm2BiO2
1.0
-1.976 1.976 6.887
1.976 -1.976 6.887
1.976 1.976 -6.887
Sm Bi O
2 1 2
Cartesian
0.000 0.000 2.290
0.000 0.000 11.484
0.000 0.000 6.887
1.976 0.000 3.444
0.000 1.976 3.444
```

* magnetic moment: 0.000 μB/cell
* volume: 21.52 Å³/atom
* formation energy: -2898 meV per atom